[1]
Density functional theory data (PBE) for a relaxed NaHfMg14O15 crystal.

* ΔE to the lowest computed polymorph: 15 meV per atom
* size of the total moment: 0.00 μB/f.u.
* raw total energy: -184.91 eV/cell
* calculated formation energy: -87.32 eV per formula unit

a = 4.325 Å, b = 8.702 Å, c = 8.648 Å
α = 90.00°, β = 90.00°, γ = 90.00°
Fractional positions:
Na1 0.000 0.000 0.000
Hf1 0.000 0.500 0.003
Mg1 0.000 0.000 0.504
Mg2 0.000 0.241 0.258
Mg3 0.000 0.246 0.746
Mg4 0.000 0.500 0.502
Mg5 0.000 0.754 0.746
Mg6 0.000 0.759 0.258
Mg7 0.500 0.000 0.251
Mg8 0.500 0.000 0.753
Mg9 0.500 0.235 0.002
Mg10 0.500 0.247 0.503
Mg11 0.500 0.500 0.260
Mg12 0.500 0.500 0.745
Mg13 0.500 0.753 0.503
Mg14 0.500 0.765 0.002
O1 0.000 0.000 0.267
O2 0.000 0.254 0.501
O3 0.000 0.263 0.004
O4 0.000 0.500 0.257
O5 0.000 0.500 0.748
O6 0.000 0.737 0.004
O7 0.000 0.746 0.501
O8 0.500 0.000 0.002
O9 0.500 0.000 0.501
O10 0.500 0.251 0.251
O11 0.500 0.254 0.754
O12 0.500 0.500 0.003
O13 0.500 0.500 0.502
O14 0.500 0.746 0.754
O15 0.500 0.749 0.251

=====

[2]
Density functional theory data (PBE) for a relaxed NaHfMg6O7 crystal.

* ΔE to the lowest computed polymorph: 39 meV per atom
* size of the total moment: 0.76 μB/f.u.
* raw total energy: -89.42 eV/cell
* calculated formation energy: -38.71 eV per formula unit

a = 4.367 Å, b = 4.367 Å, c = 8.756 Å
α = 90.00°, β = 90.00°, γ = 90.00°
Fractional positions:
Na1 0.000 0.000 0.000
Hf1 0.000 0.000 0.491
Mg1 0.000 0.500 0.230
Mg2 0.000 0.500 0.764
Mg3 0.500 0.000 0.230
Mg4 0.500 0.000 0.764
Mg5 0.500 0.500 0.494
Mg6 0.500 0.500 0.997
O1 0.000 0.000 0.733
O2 0.000 0.500 0.501
O3 0.000 0.500 0.996
O4 0.500 0.000 0.501
O5 0.500 0.000 0.996
O6 0.500 0.500 0.250
O7 0.500 0.500 0.741

=====

[3]
Density functional theory data (PBE) for a relaxed NaHfMg6O7 crystal.

* ΔE to the lowest computed polymorph: 25 meV per atom
* size of the total moment: 0.86 μB/f.u.
* raw total energy: -89.63 eV/cell
* calculated formation energy: -38.92 eV per formula unit

a = 4.352 Å, b = 4.352 Å, c = 8.814 Å
α = 90.00°, β = 90.00°, γ = 90.00°
Fractional positions:
Na1 0.000 0.000 0.000
Hf1 0.500 0.500 0.999
Mg1 0.000 0.000 0.501
Mg2 0.000 0.500 0.258
Mg3 0.000 0.500 0.742
Mg4 0.500 0.000 0.258
Mg5 0.500 0.000 0.742
Mg6 0.500 0.500 0.499
O1 0.000 0.000 0.733
O2 0.000 0.500 0.501
O3 0.000 0.500 0.996
O4 0.500 0.000 0.501
O5 0.500 0.000 0.996
O6 0.500 0.500 0.255
O7 0.500 0.500 0.746